Crystalline Mg3Si4 at its relaxed geometry, computed with PBE.

Unit cell a=5.085 b=7.505 c=7.785 alpha=116.71 beta=92.88 gamma=105.40
Positions (direct):
Mg (0.000, 0.000, 0.000)
Mg (0.050, 0.463, 0.920)
Mg (0.152, 0.308, 0.479)
Mg (0.384, 0.782, 0.471)
Mg (0.525, 0.036, 0.253)
Mg (0.788, 0.597, 0.604)
Si (0.371, 0.740, 0.812)
Si (0.410, 0.406, 0.184)
Si (0.544, 0.124, 0.922)
Si (0.551, 0.208, 0.657)
Si (0.613, 0.617, 0.001)
Si (0.907, 0.407, 0.232)
Si (0.980, 0.037, 0.632)
Si (0.981, 0.867, 0.281)

## Properties
As for the relative energy among the computed polymorphs: 65 meV/atom. For the total magnetization, the calculation gives 0.00 μB per formula unit. The value obtained for the formation energy is 0.159 eV/atom.